Record 1
Cr7Se8 | GGA-PBE | relaxed

Cell lengths 7.121, 7.121, 8.797 Å; angles 54.93, 54.93, 63.76 degrees
Element x y z (fractional)
Cr 0.500 0.500 0.000
Cr 0.500 0.000 0.500
Cr 0.000 0.500 0.500
Cr 0.231 0.769 0.500
Cr 0.769 0.231 0.500
Cr 0.233 0.233 0.011
Cr 0.767 0.767 0.989
Se 0.049 0.049 0.664
Se 0.951 0.951 0.336
Se 0.536 0.536 0.668
Se 0.464 0.464 0.332
Se 0.529 0.042 0.169
Se 0.958 0.471 0.831
Se 0.042 0.529 0.169
Se 0.471 0.958 0.831

## Properties
- SG: C2/m, No. 12
- Total energy: -6.773 eV/atom
- Mass density: 5.61 Mg/m³
- Formation energy from the elements: -9.83 eV per formula unit



Record 2
Cr2Se3 | GGA-PBE | relaxed

Cell lengths 6.965, 7.292, 8.582 Å; angles 89.13, 104.26, 106.21 degrees
Element x y z (fractional)
Cr 0.829 0.329 0.329
Cr 0.171 0.671 0.671
Cr 0.525 0.748 0.499
Cr 0.848 0.074 0.842
Cr 0.181 0.405 0.155
Cr 0.475 0.252 0.501
Cr 0.819 0.595 0.845
Cr 0.152 0.926 0.158
Se 0.539 0.021 0.309
Se 0.877 0.349 0.641
Se 0.208 0.684 0.974
Se 0.461 0.979 0.691
Se 0.792 0.316 0.026
Se 0.123 0.651 0.359
Se 0.442 0.489 0.696
Se 0.777 0.822 0.032
Se 0.103 0.149 0.357
Se 0.558 0.511 0.304
Se 0.897 0.851 0.643
Se 0.223 0.178 0.968

## Properties
- SG: P-1, No. 2
- Total energy: -6.481 eV/atom
- Mass density: 5.59 Mg/m³
- Formation energy from the elements: -4.03 eV per formula unit



Record 3
Cr2Se3 | GGA-PBE | relaxed

Cell lengths 6.351, 6.351, 11.753 Å; angles 90.00, 90.00, 120.00 degrees
Element x y z (fractional)
Cr 0.667 0.333 0.750
Cr 0.333 0.667 0.250
Cr 0.000 0.000 0.000
Cr 0.000 0.000 0.500
Cr 0.667 0.333 0.012
Cr 0.333 0.667 0.512
Cr 0.333 0.667 0.988
Cr 0.667 0.333 0.488
Se 0.673 0.661 0.620
Se 0.988 0.327 0.620
Se 0.339 0.012 0.620
Se 0.012 0.339 0.120
Se 0.327 0.988 0.120
Se 0.661 0.673 0.120
Se 0.327 0.339 0.380
Se 0.012 0.673 0.380
Se 0.661 0.988 0.380
Se 0.988 0.661 0.880
Se 0.673 0.012 0.880
Se 0.339 0.327 0.880

## Properties
- SG: P-31c, No. 163
- Total energy: -6.484 eV/atom
- Mass density: 5.51 Mg/m³
- Formation energy from the elements: -4.04 eV per formula unit